Compound: PrB2Ir2
Source: Materials Project
Functional: GGA-PBE
Structure: relaxed

```
PrB2Ir2
1.0
-4.641 -4.645 0.000
-4.641 4.645 0.000
4.641 0.000 -7.046
Ir B Pr
8 8 4
Direct
0.181 0.468 0.937 Ir
0.069 0.282 0.563 Ir
0.531 0.244 0.063 Ir
0.494 0.281 0.563 Ir
0.718 0.931 0.437 Ir
0.756 0.469 0.937 Ir
0.532 0.819 0.063 Ir
0.719 0.506 0.437 Ir
0.859 0.495 0.714 B
0.394 0.531 0.786 B
0.856 0.219 0.714 B
0.469 0.606 0.214 B
0.745 0.609 0.214 B
0.505 0.141 0.286 B
0.391 0.255 0.786 B
0.781 0.144 0.286 B
0.125 0.875 0.750 Pr
0.625 0.875 0.750 Pr
0.125 0.375 0.250 Pr
0.125 0.875 0.250 Pr
```

Calculated values
The mass density comes out at 12.0 Mg/m³. The total energy comes out at -7.50 eV per atom. As for the formation energy: -0.34 eV/atom.